Lu4CdNi meta-GGA r2SCAN relaxed; raw total energy = -31.08 eV per atom; DFT formation energy = -346 meV/atom; M_tot = 0.00 μB per cell; calculated density = 10.3 Mg/m³
1.0
0.0000 6.5569 6.5569
6.5569 0.0000 6.5569
6.5569 6.5569 0.0000
Lu Cd Ni
16 4 4
Direct
0.0616 0.0616 0.4384
0.0616 0.4384 0.0616
0.0616 0.4384 0.4384
0.1873 0.1873 0.8127
0.1873 0.8127 0.1873
0.1873 0.8127 0.8127
0.2048 0.5984 0.5984
0.4384 0.0616 0.0616
0.4384 0.0616 0.4384
0.4384 0.4384 0.0616
0.5984 0.2048 0.5984
0.5984 0.5984 0.2048
0.5984 0.5984 0.5984
0.8127 0.1873 0.1873
0.8127 0.1873 0.8127
0.8127 0.8127 0.1873
0.5069 0.8310 0.8310
0.8310 0.5069 0.8310
0.8310 0.8310 0.5069
0.8310 0.8310 0.8310
0.3924 0.3924 0.3924
0.3924 0.3924 0.8227
0.3924 0.8227 0.3924
0.8227 0.3924 0.3924

***

Ba5P9 meta-GGA r2SCAN relaxed; raw total energy = -16.22 eV per atom; DFT formation energy = -969 meV/atom; M_tot = 0.00 μB per cell; calculated density = 4.1 Mg/m³
1.0
0.0000 9.5896 5.1924
7.8922 0.0000 5.1924
7.8922 9.5896 0.0000
Ba P
10 18
Direct
0.0000 0.0000 0.0000
0.2140 0.8216 0.6512
0.2500 0.2500 0.2500
0.2702 0.4566 0.5114
0.4566 0.2702 0.7618
0.4882 0.7386 0.7934
0.5988 0.9369 0.0360
0.7386 0.4882 0.9798
0.8216 0.2140 0.3131
0.9369 0.5988 0.4284
0.0314 0.5823 0.1155
0.0862 0.3958 0.8942
0.1189 0.8371 0.4368
0.1345 0.9792 0.2186
0.2012 0.4802 0.9438
0.3062 0.8752 0.0488
0.3558 0.6262 0.1638
0.3958 0.0862 0.6238
0.4802 0.2012 0.3748
0.5823 0.0314 0.2708
0.6151 0.6151 0.3849
0.6262 0.3558 0.8542
0.6429 0.8132 0.4129
0.8132 0.6429 0.1311
0.8371 0.1189 0.6071
0.8651 0.8651 0.6349
0.8752 0.3062 0.7698
0.9792 0.1345 0.6677

***

Dy3NiGe2 meta-GGA r2SCAN relaxed; raw total energy = -23.50 eV per atom; DFT formation energy = -891 meV/atom; M_tot = 1.77 μB per cell; calculated density = 8.7 Mg/m³
1.0
4.1377 0.0000 0.0000
0.0000 11.3329 0.0000
0.0000 0.0000 11.2808
Dy Ni Ge
12 4 8
Direct
0.0000 0.0303 0.0000
0.0000 0.1912 0.3246
0.0000 0.3686 0.6409
0.0000 0.5306 0.8938
0.0000 0.6912 0.5693
0.0000 0.8687 0.2528
0.5000 0.1313 0.7528
0.5000 0.3088 0.0693
0.5000 0.4694 0.3938
0.5000 0.6314 0.1409
0.5000 0.8088 0.8246
0.5000 0.9697 0.5000
0.0000 0.1213 0.5639
0.0000 0.6215 0.3298
0.5000 0.3785 0.8298
0.5000 0.8787 0.0639
0.0000 0.2688 0.8844
0.0000 0.4430 0.2015
0.0000 0.7687 0.0096
0.0000 0.9431 0.6924
0.5000 0.0569 0.1924
0.5000 0.2313 0.5096
0.5000 0.5570 0.7015
0.5000 0.7312 0.3844

***

Hg7P2O10 meta-GGA r2SCAN relaxed; raw total energy = -23.44 eV per atom; DFT formation energy = -1161 meV/atom; M_tot = 0.00 μB per cell; calculated density = 8.8 Mg/m³
1.0
6.3201 0.0000 0.0000
0.0000 10.0883 0.0000
-0.8829 0.0000 9.6314
Hg P O
14 4 20
Direct
0.0000 0.0000 0.0000
0.0000 0.5000 0.5000
0.2631 0.1385 0.6509
0.2631 0.3615 0.1509
0.3106 0.6169 0.8105
0.3106 0.8831 0.3105
0.4877 0.6513 0.4112
0.4877 0.8487 0.9112
0.5123 0.1513 0.0888
0.5123 0.3487 0.5888
0.6894 0.1169 0.6895
0.6894 0.3831 0.1895
0.7369 0.6385 0.8491
0.7369 0.8615 0.3491
0.0011 0.6492 0.1475
0.0011 0.8508 0.6475
0.9989 0.1492 0.3525
0.9989 0.3508 0.8525
0.0030 0.7070 0.7049
0.0030 0.7930 0.2049
0.0416 0.6539 0.9930
0.0416 0.8461 0.4930
0.1782 0.5679 0.2303
0.1782 0.9321 0.7303
0.2223 0.0947 0.3359
0.2223 0.4053 0.8359
0.3128 0.5329 0.5630
0.3128 0.9671 0.0630
0.6872 0.0329 0.9370
0.6872 0.4671 0.4370
0.7777 0.5947 0.1641
0.7777 0.9053 0.6641
0.8218 0.0679 0.2697
0.8218 0.4321 0.7697
0.9584 0.1539 0.5070
0.9584 0.3461 0.0070
0.9970 0.2070 0.7951
0.9970 0.2930 0.2951